First-principles (PBE) data for a relaxed structure of CeGaRh, as listed in the Materials Project database.

Output
Energy of formation from the pure elements: -0.811 eV/atom
SG: Pnma (62)

```
CeGaRh
1.0
7.4241 0.0000 0.0000
0.0000 4.6462 0.0000
0.0000 0.0000 6.9144
Ce Ga Rh
4 4 4
Direct
0.0291 0.2500 0.1760
0.4709 0.7500 0.6760
0.5291 0.2500 0.3240
0.9709 0.7500 0.8240
0.1926 0.2500 0.6093
0.3074 0.7500 0.1093
0.6926 0.2500 0.8907
0.8074 0.7500 0.3907
0.1519 0.7500 0.4389
0.3481 0.2500 0.9389
0.6519 0.7500 0.0611
0.8481 0.2500 0.5611
```

First-principles (PBE) data for a relaxed structure of Ce2Ga9Rh3, as listed in the Materials Project database.

Output
Energy of formation from the pure elements: -0.695 eV/atom
SG: Cmcm (63)

```
Ce2Ga9Rh3
1.0
6.6226 -3.8425 0.0000
6.6226 3.8425 0.0000
0.0000 0.0000 9.4929
Ce Ga Rh
4 18 6
Direct
0.0023 0.6685 0.7500
0.3315 0.9977 0.7500
0.6685 0.0023 0.2500
0.9977 0.3315 0.2500
0.0016 0.6658 0.0778
0.0016 0.6658 0.4222
0.1273 0.8727 0.2500
0.3341 0.6659 0.5624
0.3341 0.6659 0.9376
0.3342 0.9984 0.0778
0.3342 0.9984 0.4222
0.3381 0.4556 0.2500
0.4556 0.3381 0.7500
0.5444 0.6619 0.2500
0.6619 0.5444 0.7500
0.6658 0.0016 0.5778
0.6658 0.0016 0.9222
0.6659 0.3341 0.0624
0.6659 0.3341 0.4376
0.8727 0.1273 0.7500
0.9984 0.3342 0.5778
0.9984 0.3342 0.9222
0.0000 0.0000 0.0000
0.0000 0.0000 0.5000
0.3289 0.3289 0.0000
0.3289 0.3289 0.5000
0.6711 0.6711 0.0000
0.6711 0.6711 0.5000
```

First-principles (PBE) data for a relaxed structure of CeGaSi, as listed in the Materials Project database.

Output
Energy of formation from the pure elements: -0.603 eV/atom
Total energy after the MP2020 corrections: -5.399 eV/atom
SG: I4_1md (109)

```
CeGaSi
1.0
-2.1050 2.1050 7.1730
2.1050 -2.1050 7.1730
2.1050 2.1050 -7.1730
Ce Ga Si
2 2 2
Direct
0.0000 0.0000 0.0000
0.7500 0.2500 0.5000
0.3337 0.8337 0.5000
0.5837 0.5837 0.0000
0.1663 0.6663 0.5000
0.4163 0.4163 0.0000
```

First-principles (PBE) data for a relaxed structure of CeGaSi, as listed in the Materials Project database.

Output
Energy of formation from the pure elements: -0.623 eV/atom
Total energy after the MP2020 corrections: -5.418 eV/atom
SG: Imma (74)

```
CeGaSi
1.0
-2.0512 2.1315 7.1929
2.0512 -2.1315 7.1929
2.0512 2.1315 -7.1929
Ce Ga Si
2 2 2
Direct
0.3841 0.1341 0.2500
0.6159 0.8659 0.7500
0.2088 0.4588 0.7500
0.7912 0.5412 0.2500
0.0413 0.2913 0.7500
0.9587 0.7087 0.2500
```

First-principles (PBE) data for a relaxed structure of CeZnGa, as listed in the Materials Project database.

Output
Energy of formation from the pure elements: -0.460 eV/atom
SG: P6_3/mmc (194)

```
CeZnGa
1.0
4.4915 0.0000 0.0000
-2.2458 3.8898 0.0000
0.0000 0.0000 7.4740
Ce Zn Ga
2 2 2
Direct
0.0000 0.0000 0.0000
0.0000 0.0000 0.5000
0.3333 0.6667 0.2500
0.6667 0.3333 0.7500
0.3333 0.6667 0.7500
0.6667 0.3333 0.2500
```

First-principles (PBE) data for a relaxed structure of CeZnGa3, as listed in the Materials Project database.

Output
Energy of formation from the pure elements: -0.436 eV/atom
SG: I-4m2 (119)

```
CeZnGa3
1.0
-2.1414 2.1414 5.3783
2.1414 -2.1414 5.3783
2.1414 2.1414 -5.3783
Ce Zn Ga
1 1 3
Direct
0.0000 0.0000 0.0000
0.2500 0.7500 0.5000
0.3845 0.3845 0.0000
0.6155 0.6155 0.0000
0.7500 0.2500 0.5000
```

First-principles (PBE) data for a relaxed structure of CeGd3, as listed in the Materials Project database.

Output
Energy of formation from the pure elements: 0.079 eV/atom
SG: Pm-3m (221)

```
CeGd3
1.0
5.0296 0.0000 0.0000
0.0000 5.0296 0.0000
0.0000 0.0000 5.0296
Ce Gd
1 3
Direct
0.0000 0.0000 0.0000
0.0000 0.5000 0.5000
0.5000 0.0000 0.5000
0.5000 0.5000 0.0000
```

First-principles (PBE) data for a relaxed structure of Ce9GdO20, as listed in the Materials Project database.

Output
Energy of formation from the pure elements: -3.847 eV/atom
Total energy after the MP2020 corrections: -9.395 eV/atom
SG: P-1 (2)

```
Ce9GdO20
1.0
6.6863 0.0000 0.0000
-2.2220 7.3956 0.0000
-1.1221 -2.3536 8.2358
Ce Gd O
9 1 20
Direct
0.0000 0.0000 0.0000
0.1996 0.4001 0.3989
0.1996 0.8991 0.3992
0.3986 0.7991 0.8006
0.4006 0.3012 0.8012
0.5994 0.6988 0.1988
0.6014 0.2009 0.1994
0.8004 0.1009 0.6008
0.8004 0.5999 0.6011
0.0000 0.5000 0.0000
0.0504 0.2228 0.8487
0.0503 0.7269 0.8486
0.1498 0.1749 0.5498
0.1500 0.6750 0.5500
0.2504 0.1251 0.2500
0.2520 0.6261 0.2520
0.3503 0.0749 0.9501
0.3530 0.5758 0.9493
0.4498 0.0247 0.6499
0.4498 0.5251 0.6497
0.5502 0.4749 0.3503
0.5502 0.9753 0.3501
0.6470 0.4242 0.0507
0.6497 0.9251 0.0499
0.7480 0.3739 0.7480
0.7496 0.8749 0.7500
0.8500 0.3250 0.4500
0.8502 0.8251 0.4502
0.9497 0.2731 0.1514
0.9496 0.7772 0.1513
```

First-principles (PBE) data for a relaxed structure of Ce4GdO9, as listed in the Materials Project database.

Output
Energy of formation from the pure elements: -3.902 eV/atom
Total energy after the MP2020 corrections: -9.784 eV/atom
SG: P1 (1)

```
Ce4GdO9
1.0
3.8145 0.0000 0.0000
0.0033 5.5347 0.0000
1.9030 2.7603 9.8106
Ce Gd O
4 1 9
Direct
0.0000 0.0000 0.0000
0.1895 0.1869 0.6110
0.5887 0.5856 0.8161
0.7853 0.7876 0.4258
0.3935 0.3330 0.2127
0.0852 0.8378 0.8196
0.0939 0.3419 0.8090
0.2858 0.0291 0.4224
0.3077 0.5571 0.3789
0.4793 0.7195 0.0434
0.4984 0.2343 0.0037
0.6870 0.9335 0.6178
0.6936 0.4407 0.6058
0.8934 0.1149 0.2126
```

First-principles (PBE) data for a relaxed structure of Ce5Gd2O13, as listed in the Materials Project database.

Output
Energy of formation from the pure elements: -3.886 eV/atom
Total energy after the MP2020 corrections: -9.993 eV/atom
SG: R3m (160)

```
Ce5Gd2O13
1.0
1.9221 1.1097 22.3016
-1.9221 1.1097 22.3016
0.0000 -2.2194 22.3016
Ce Gd O
5 2 13
Direct
0.0000 0.0000 0.0000
0.1425 0.1425 0.1425
0.4282 0.4282 0.4282
0.7140 0.7140 0.7140
0.8565 0.8565 0.8565
0.2859 0.2859 0.2859
0.5684 0.5684 0.5684
0.0345 0.0345 0.0345
0.1060 0.1060 0.1060
0.1772 0.1772 0.1772
0.2537 0.2537 0.2537
0.3211 0.3211 0.3211
0.3917 0.3917 0.3917
0.4631 0.4631 0.4631
0.5341 0.5341 0.5341
0.6777 0.6777 0.6777
0.7488 0.7488 0.7488
0.8202 0.8202 0.8202
0.8913 0.8913 0.8913
0.9590 0.9590 0.9590
```

First-principles (PBE) data for a relaxed structure of Ce2Gd2O7, as listed in the Materials Project database.

Output
Energy of formation from the pure elements: -3.850 eV/atom
Total energy after the MP2020 corrections: -10.636 eV/atom
SG: C2 (5)

```
Ce2Gd2O7
1.0
7.7855 -5.5125 0.0000
7.7855 5.5125 0.0000
-7.7848 0.0000 7.8076
Ce Gd O
8 8 28
Direct
0.0000 0.0000 0.0000
0.2480 0.2983 0.5240
0.4764 0.0214 0.7721
0.7011 0.2748 0.2500
0.7017 0.7520 0.4760
0.7252 0.2989 0.7500
0.9537 0.0463 0.5000
0.9786 0.5236 0.2279
0.2255 0.2755 0.0010
0.2249 0.7503 0.2257
0.2497 0.7751 0.7743
0.4724 0.5276 0.0000
0.4743 0.0200 0.2463
0.4738 0.5262 0.5000
0.7245 0.7745 0.9990
0.9800 0.5257 0.7537
0.1876 0.5176 0.4754
0.2055 0.0511 0.2710
0.2064 0.0110 0.7100
0.2198 0.5236 0.2424
0.2259 0.5142 0.9909
0.2272 0.0159 0.0009
0.2335 0.5254 0.7504
0.4717 0.2744 0.2510
0.4737 0.2347 0.7301
0.4746 0.7665 0.2496
0.4764 0.7802 0.7576
0.4797 0.2678 0.0071
0.4824 0.8124 0.5246
0.4826 0.2842 0.5126
0.4858 0.7741 0.0091
0.7158 0.5174 0.4874
0.7226 0.0367 0.2553
0.7256 0.5283 0.7490
0.7322 0.5203 0.9929
0.7434 0.0426 0.9985
0.7462 0.0048 0.5173
0.7653 0.5263 0.2699
0.9489 0.7945 0.7290
0.9574 0.2566 0.0015
0.9633 0.2774 0.7447
0.9841 0.7728 0.9991
0.9890 0.7936 0.2900
0.9952 0.2538 0.4827
```

First-principles (PBE) data for a relaxed structure of Ce4Ge3, as listed in the Materials Project database.

Output
Energy of formation from the pure elements: -0.697 eV/atom
SG: I-43d (220)

```
Ce4Ge3
1.0
-4.4939 4.4939 4.4939
4.4939 -4.4939 4.4939
4.4939 4.4939 -4.4939
Ce Ge
8 6
Direct
0.0000 0.1437 0.5000
0.0000 0.6437 0.5000
0.1437 0.5000 0.0000
0.3563 0.3563 0.3563
0.5000 0.0000 0.1437
0.5000 0.0000 0.6437
0.6437 0.5000 0.0000
0.8563 0.8563 0.8563
0.1250 0.8750 0.2500
0.2500 0.1250 0.8750
0.3750 0.6250 0.7500
0.6250 0.7500 0.3750
0.7500 0.3750 0.6250
0.8750 0.2500 0.1250
```

First-principles (PBE) data for a relaxed structure of Ce5Ge4, as listed in the Materials Project database.

Output
Energy of formation from the pure elements: -0.709 eV/atom
SG: Pnma (62)

```
Ce5Ge4
1.0
7.8329 0.0000 0.0000
0.0000 14.9326 0.0000
0.0000 0.0000 7.9257
Ce Ge
20 16
Direct
0.0238 0.1015 0.1857
0.0238 0.3985 0.1857
0.1130 0.6182 0.3364
0.1130 0.8818 0.3364
0.2018 0.2500 0.5051
0.2982 0.7500 0.0051
0.3870 0.1182 0.8364
0.3870 0.3818 0.8364
0.4762 0.6015 0.6857
0.4762 0.8985 0.6857
0.5238 0.1015 0.3143
0.5238 0.3985 0.3143
0.6130 0.6182 0.1636
0.6130 0.8818 0.1636
0.7018 0.2500 0.9949
0.7982 0.7500 0.4949
0.8870 0.1182 0.6636
0.8870 0.3818 0.6636
0.9762 0.6015 0.8143
0.9762 0.8985 0.8143
0.0828 0.2500 0.8916
0.1789 0.7500 0.6355
0.2229 0.0425 0.5317
0.2229 0.4575 0.5317
0.2771 0.5425 0.0317
0.2771 0.9575 0.0317
0.3211 0.2500 0.1355
0.4172 0.7500 0.3916
0.5828 0.2500 0.6084
0.6789 0.7500 0.8645
0.7229 0.0425 0.9683
0.7229 0.4575 0.9683
0.7771 0.5425 0.4683
0.7771 0.9575 0.4683
0.8211 0.2500 0.3645
0.9172 0.7500 0.1084
```

First-principles (PBE) data for a relaxed structure of CeGe, as listed in the Materials Project database.

Output
Energy of formation from the pure elements: -0.705 eV/atom
SG: Pnma (62)

```
CeGe
1.0
8.2069 0.0000 0.0000
0.0000 4.0713 0.0000
0.0000 0.0000 5.9336
Ce Ge
4 4
Direct
0.1816 0.2500 0.1202
0.3184 0.7500 0.6202
0.6816 0.2500 0.3798
0.8184 0.7500 0.8798
0.0387 0.2500 0.6401
0.4613 0.7500 0.1401
0.5387 0.2500 0.8599
0.9613 0.7500 0.3599
```

First-principles (PBE) data for a relaxed structure of Ce4Ge7, as listed in the Materials Project database.

Output
Distance to the lowest polymorph of the same formula: 1.797 kcal/mol of atoms
Energy of formation from the pure elements: -0.590 eV/atom
SG: Pmm2 (25)

```
Ce4Ge7
1.0
4.0909 0.0000 0.0000
0.0000 4.2037 0.0000
0.0000 0.0000 15.0358
Ce Ge
4 7
Direct
0.0000 0.0000 0.0000
0.0000 0.5000 0.2511
0.5000 0.0000 0.7518
0.5000 0.5000 0.4973
0.0000 0.0000 0.4110
0.0000 0.0000 0.5797
0.0000 0.5000 0.6676
0.0000 0.5000 0.8359
0.5000 0.0000 0.3074
0.5000 0.5000 0.0980
0.5000 0.5000 0.9319
```

First-principles (PBE) data for a relaxed structure of Ce4Ge7, as listed in the Materials Project database.

Output
Distance to the lowest polymorph of the same formula: 0.000 kcal/mol of atoms
Energy of formation from the pure elements: -0.668 eV/atom
SG: C222_1 (20)

```
Ce4Ge7
1.0
2.9767 -7.1039 0.0000
2.9767 7.1039 0.0000
0.0000 0.0000 11.9041
Ce Ge
8 14
Direct
0.0058 0.9942 0.7500
0.0157 0.5061 0.1195
0.4908 0.4908 0.5000
0.4939 0.9843 0.3805
0.5061 0.0157 0.8805
0.5092 0.5092 0.0000
0.9843 0.4939 0.6195
0.9942 0.0058 0.2500
0.0726 0.8960 0.4900
0.0795 0.4265 0.3723
0.1040 0.9274 0.0100
0.1750 0.4685 0.8391
0.4265 0.0795 0.6277
0.4388 0.5612 0.2500
0.4685 0.1750 0.1609
0.5315 0.8250 0.6609
0.5612 0.4388 0.7500
0.5735 0.9205 0.1277
0.8250 0.5315 0.3391
0.8960 0.0726 0.5100
0.9205 0.5735 0.8723
0.9274 0.1040 0.9900
```